1.
Crystalline Li3V4O8 at its relaxed geometry. Source: the Materials Project database, functional PBE+U.

Unit cell a=5.8952 b=10.6858 c=5.9133 alpha=90.42 beta=60.07 gamma=74.21
Element x y z (fractional)
V: 0.0000 0.7499 0.2501
V: 0.5058 0.9991 0.5007
O: 0.7228 0.6322 0.8876
Li: 0.1456 0.0341 0.1816
Li: 0.9999 0.7500 0.7500
V: 0.4996 0.7501 0.7502
O: 0.2485 0.6316 0.3579
O: 0.2771 0.8677 0.6121
O: 0.7506 0.6494 0.3734
O: 0.2437 0.6345 0.8911
O: 0.2616 0.1314 0.8577
O: 0.7563 0.8654 0.6089
V: 0.4945 0.5008 0.9990
O: 0.2730 0.3678 0.1082
O: 0.7387 0.3685 0.6422
Li: 0.1404 0.5340 0.6795
V: 0.5000 0.7499 0.2498
V: 0.0001 0.2500 0.7501
O: 0.7453 0.3665 0.1120
O: 0.2548 0.1336 0.3880
Li: 0.8595 0.9660 0.8206
V: 0.4999 0.2501 0.2500
V: 0.5001 0.2500 0.7499
Li: 0.0000 0.2500 0.2500
O: 0.7270 0.1324 0.3917
O: 0.2493 0.8507 0.1268
O: 0.7518 0.8684 0.1421
O: 0.2746 0.3509 0.6269
O: 0.7253 0.1492 0.8732
Li: 0.8544 0.4659 0.3185

Summary:
Relative energy among the computed polymorphs   1.7 meV/atom
E (MP2020)   -7.908 eV/atom

=====

2.
Crystalline LiV3O6 at its relaxed geometry. Source: the Materials Project database, functional PBE+U.

Unit cell a=4.9717 b=8.9063 c=5.4997 alpha=106.91 beta=116.14 gamma=90.20
Element x y z (fractional)
O: 0.4414 0.3613 0.2225
V: 0.2451 0.7421 0.4937
O: 0.9130 0.2032 0.2211
O: 0.0320 0.8079 0.6965
O: 0.4483 0.0423 0.2223
V: 0.2058 0.4068 0.4030
O: 0.9774 0.1074 0.6971
O: 0.0594 0.4338 0.6931
V: 0.7059 0.9068 0.4030
O: 0.9483 0.5423 0.2222
V: 0.4978 0.5021 0.0025
Li: 0.9310 0.6435 0.8496
Li: 0.4309 0.1435 0.8496
O: 0.4132 0.7032 0.2213
V: 0.7451 0.2421 0.4937
O: 0.5594 0.9339 0.6932
O: 0.9414 0.8612 0.2226
O: 0.4774 0.6073 0.6972
O: 0.5319 0.3079 0.6964
V: 0.9978 0.0022 0.0026

Summary:
Relative energy among the computed polymorphs   0.0 meV/atom
E (MP2020)   -8.368 eV/atom

=====

3.
Crystalline Li3V4O8 at its relaxed geometry. Source: the Materials Project database, functional PBE+U.

Unit cell a=5.9070 b=10.6799 c=5.9010 alpha=89.80 beta=60.30 gamma=74.02
Element x y z (fractional)
O: 0.2571 0.1327 0.3887
O: 0.2802 0.3511 0.6199
O: 0.7195 0.1492 0.8812
V: 0.4999 0.4999 0.0000
Li: 0.1464 0.0340 0.1833
V: 0.4993 0.2503 0.2509
Li: 0.8539 0.9661 0.8165
O: 0.2502 0.6369 0.3664
O: 0.7420 0.3680 0.1116
V: 0.5006 0.7488 0.2482
O: 0.7499 0.3631 0.6335
O: 0.2511 0.1372 0.8666
V: 0.0004 0.2497 0.7502
Li: 0.8530 0.4659 0.3175
O: 0.7199 0.6488 0.3800
O: 0.2725 0.3710 0.1029
O: 0.7489 0.8629 0.1335
V: 0.4994 0.2512 0.7517
O: 0.7275 0.6289 0.8971
V: 0.4997 0.0000 0.5000
Li: 0.0006 0.7500 0.7491
O: 0.2577 0.6321 0.8886
V: 0.9995 0.7505 0.2499
O: 0.7429 0.8673 0.6112
O: 0.2751 0.8702 0.5992
O: 0.7249 0.1298 0.4008
Li: 0.1468 0.5341 0.6826
O: 0.2807 0.8507 0.1187
Li: 0.9995 0.2500 0.2508
V: 0.5007 0.7497 0.7494

Summary:
Relative energy among the computed polymorphs   0.0 meV/atom
E (MP2020)   -7.910 eV/atom

=====

4.
Crystalline LiV6O13 at its relaxed geometry. Source: the Materials Project database, functional PBE+U.

Unit cell a=3.7200 b=11.4643 c=12.1375 alpha=110.41 beta=90.17 gamma=99.33
Element x y z (fractional)
O: 0.8510 0.6942 0.6786
O: 0.1453 0.2895 0.0278
Li: 0.1883 0.3700 0.7643
V: 0.0722 0.1456 0.2837
V: 0.4361 0.8720 0.2308
O: 0.5511 0.1026 0.3047
O: 0.5562 0.1116 0.9312
O: 0.4438 0.8884 0.0688
Li: 0.8117 0.6300 0.2357
V: 0.7733 0.5516 0.9260
V: 0.5737 0.1453 0.4841
O: 0.6425 0.2850 0.8035
O: 0.4568 0.9139 0.4000
O: 0.2455 0.4938 0.9283
V: 0.7800 0.5068 0.6115
O: 0.8547 0.7105 0.9722
O: 0.9359 0.8735 0.5585
O: 0.0407 0.0816 0.1065
V: 0.9473 0.8966 0.0416
O: 0.0641 0.1265 0.4415
O: 0.1490 0.3058 0.3214
O: 0.9593 0.9184 0.8935
O: 0.6558 0.3034 0.5506
V: 0.0527 0.1034 0.9584
V: 0.2200 0.4932 0.3885
O: 0.4489 0.8974 0.6953
V: 0.5639 0.1280 0.7692
O: 0.3575 0.7150 0.1965
V: 0.9278 0.8544 0.7163
O: 0.2607 0.5037 0.2444
O: 0.7393 0.4963 0.7556
O: 0.2475 0.4981 0.5704
O: 0.3442 0.6966 0.4494
O: 0.0407 0.0814 0.7827
V: 0.4263 0.8547 0.5159
O: 0.7525 0.5019 0.4296
O: 0.5432 0.0861 0.6000
V: 0.2267 0.4484 0.0740
O: 0.9593 0.9186 0.2173
O: 0.7545 0.5062 0.0717

Summary:
Relative energy among the computed polymorphs   0.0 meV/atom
E (MP2020)   -8.452 eV/atom

=====

5.
Crystalline Li3V4O8 at its relaxed geometry. Source: the Materials Project database, functional PBE+U.

Unit cell a=5.9134 b=10.2968 c=6.1094 alpha=73.87 beta=119.04 gamma=89.95
Element x y z (fractional)
O: 0.9136 0.8619 0.3005
O: 0.1418 0.6281 0.2708
Li: 0.2855 0.0733 0.0676
O: 0.8874 0.8710 0.7384
O: 0.3830 0.3622 0.2983
O: 0.8880 0.3633 0.2677
Li: 0.7814 0.5732 0.0686
V: 0.7503 0.2500 0.9998
V: 0.2491 0.7499 0.0001
V: 0.7504 0.2504 0.5005
O: 0.8499 0.3721 0.7365
Li: 0.7191 0.9259 0.9321
O: 0.5874 0.6391 0.7010
V: 0.2503 0.2495 0.4988
V: 0.2508 0.7490 0.5006
O: 0.3764 0.3711 0.7327
Li: 0.2137 0.4265 0.9320
V: 0.0053 0.0009 0.4990
Li: 0.9988 0.5001 0.4999
O: 0.1172 0.1380 0.7007
O: 0.3546 0.8723 0.7277
V: 0.4925 0.5001 0.4994
O: 0.1249 0.1314 0.2644
V: 0.7507 0.7508 0.5000
Li: 0.5000 0.9995 0.5004
O: 0.3745 0.8629 0.2634
O: 0.6121 0.1365 0.7323
O: 0.1259 0.6366 0.7367
O: 0.6518 0.1272 0.2646
O: 0.6137 0.6270 0.2654

Summary:
Relative energy among the computed polymorphs   1.8 meV/atom
E (MP2020)   -7.908 eV/atom

=====

6.
Crystalline LiV6O15 at its relaxed geometry. Source: the Materials Project database, functional PBE+U.

Unit cell a=7.3092 b=10.2728 c=15.7718 alpha=68.69 beta=90.00 gamma=90.00
Element x y z (fractional)
V: 0.6294 0.8926 0.5880
Li: 0.3789 0.3498 0.7379
O: 0.8750 0.9989 0.7500
O: 0.3739 0.4305 0.9894
V: 0.8770 0.5868 0.0397
V: 0.6269 0.4158 0.9606
V: 0.1249 0.8794 0.3721
V: 0.1230 0.4132 0.9603
O: 0.6393 0.4839 0.8507
O: 0.8769 0.9256 0.3839
V: 0.8731 0.4158 0.4606
O: 0.8745 0.7318 0.8614
O: 0.3769 0.0744 0.1161
O: 0.8451 0.7721 0.1885
Li: 0.1211 0.3498 0.2379
O: 0.1277 0.9262 0.8835
V: 0.3772 0.8942 0.0892
V: 0.3706 0.1074 0.4120
O: 0.1242 0.2242 0.9846
O: 0.6549 0.7721 0.6885
O: 0.1156 0.9416 0.0728
V: 0.3753 0.1091 0.6349
V: 0.3731 0.5842 0.0394
O: 0.0889 0.7694 0.6887
O: 0.6242 0.7758 0.5154
V: 0.6228 0.1058 0.9108
O: 0.3738 0.7716 0.0121
V: 0.1269 0.5842 0.5394
O: 0.3607 0.5161 0.1493
O: 0.9111 0.2306 0.3113
O: 0.6261 0.5695 0.0106
O: 0.3745 0.2682 0.6386
O: 0.1262 0.7716 0.5121
O: 0.3758 0.2242 0.4846
V: 0.1228 0.8942 0.5892
O: 0.8723 0.0738 0.1165
O: 0.3661 0.0461 0.9432
O: 0.6242 0.2702 0.1405
V: 0.8772 0.1058 0.4108
O: 0.6113 0.5183 0.6495
O: 0.1393 0.5161 0.6493
O: 0.6156 0.0584 0.4272
O: 0.6250 0.9989 0.2500
O: 0.1250 0.0011 0.2500
V: 0.8753 0.8909 0.8651
O: 0.8758 0.7758 0.0154
O: 0.8887 0.5183 0.1495
O: 0.8739 0.5695 0.5106
O: 0.8758 0.2702 0.6405
V: 0.3751 0.8794 0.8721
O: 0.1255 0.2682 0.1386
O: 0.1231 0.0744 0.6161
O: 0.1113 0.4817 0.8505
Li: 0.8789 0.6502 0.7621
O: 0.3887 0.4817 0.3505
O: 0.3451 0.2279 0.3115
O: 0.8607 0.4839 0.3507
O: 0.6239 0.4272 0.4948
O: 0.6339 0.9539 0.0568
O: 0.1339 0.0461 0.4432
O: 0.8661 0.9539 0.5568
O: 0.3750 0.0011 0.7500
V: 0.6230 0.5868 0.5397
O: 0.1239 0.5728 0.0052
O: 0.1261 0.4305 0.4894
O: 0.8761 0.4272 0.9948
Li: 0.6211 0.6502 0.2621
O: 0.6277 0.0738 0.6165
O: 0.1242 0.7298 0.3595
O: 0.3758 0.7298 0.8595
O: 0.8844 0.0584 0.9272
O: 0.8738 0.2284 0.4879
O: 0.3844 0.9416 0.5728
V: 0.1294 0.1074 0.9120
V: 0.6249 0.1206 0.1279
O: 0.3761 0.5728 0.5052
O: 0.3723 0.9262 0.3835
O: 0.6255 0.7318 0.3614
V: 0.8706 0.8926 0.0880
O: 0.6231 0.9256 0.8839
O: 0.6262 0.2284 0.9879
O: 0.1549 0.2279 0.8115
O: 0.4111 0.7694 0.1887
V: 0.6247 0.8909 0.3651
V: 0.8751 0.1206 0.6279
O: 0.5889 0.2306 0.8113
V: 0.3770 0.4132 0.4603
V: 0.1247 0.1091 0.1349

Summary:
Relative energy among the computed polymorphs   0.0 meV/atom
E (MP2020)   -8.265 eV/atom

=====

7.
Crystalline Li3V4O8 at its relaxed geometry. Source: the Materials Project database, functional PBE+U.

Unit cell a=5.9230 b=10.2037 c=6.1382 alpha=73.40 beta=119.11 gamma=90.37
Element x y z (fractional)
O: 0.8793 0.8737 0.7298
Li: 0.2852 0.0717 0.0700
O: 0.3860 0.3699 0.7431
O: 0.3977 0.3700 0.2955
O: 0.1010 0.1226 0.7054
O: 0.8550 0.3725 0.7394
O: 0.6146 0.6392 0.7035
O: 0.8859 0.3625 0.2715
V: 0.7464 0.2495 0.4972
V: 0.7464 0.2513 0.9957
O: 0.1098 0.1226 0.2613
O: 0.1505 0.6290 0.2655
O: 0.3452 0.8756 0.7294
O: 0.6254 0.6343 0.2604
O: 0.6146 0.1350 0.7294
Li: 0.2175 0.4256 0.9337
V: 0.2491 0.7509 0.9980
O: 0.8876 0.8710 0.3052
V: 0.2476 0.7513 0.4974
V: 0.9969 0.0058 0.4998
Li: 0.7132 0.9304 0.9344
V: 0.7469 0.7472 0.4998
Li: 0.0061 0.4955 0.5038
O: 0.3873 0.8634 0.2654
O: 0.1098 0.6374 0.7306
V: 0.2510 0.2499 0.4988
Li: 0.5015 0.9993 0.5027
O: 0.6466 0.1239 0.2611
V: 0.5058 0.4994 0.5008
Li: 0.7900 0.5697 0.0715

Summary:
Relative energy among the computed polymorphs   4.3 meV/atom
E (MP2020)   -7.905 eV/atom

=====

8.
Crystalline Li3V7O12 at its relaxed geometry. Source: the Materials Project database, functional PBE+U.

Unit cell a=5.2264 b=5.2264 c=9.9103 alpha=84.48 beta=84.48 gamma=120.28
Element x y z (fractional)
V: 0.4259 0.5741 0.0000
V: 0.0007 0.5186 0.2375
O: 0.7618 0.9449 0.8834
O: 0.4948 0.2883 0.8821
Li: 0.3239 0.1564 0.2374
V: 0.7627 0.2373 0.0000
O: 0.2119 0.0338 0.6139
O: 0.0551 0.2382 0.1166
O: 0.3576 0.8467 0.1217
O: 0.8522 0.3701 0.6125
V: 0.9153 0.0847 0.5000
O: 0.1533 0.6424 0.8783
O: 0.9662 0.7881 0.3861
V: 0.5755 0.4245 0.5000
Li: 0.0798 0.9202 0.0000
O: 0.7117 0.5052 0.1179
V: 0.2486 0.7514 0.5000
Li: 0.8436 0.6761 0.7626
O: 0.5502 0.7330 0.6137
O: 0.6299 0.1478 0.3875
V: 0.4814 0.9993 0.7625
O: 0.2670 0.4498 0.3863

Summary:
E (MP2020)   -8.280 eV/atom

=====

9.
Crystalline Li5V5O12 at its relaxed geometry. Source: the Materials Project database, functional PBE+U.

Unit cell a=5.0575 b=9.2018 c=9.4626 alpha=84.51 beta=86.26 gamma=84.96
Element x y z (fractional)
V: 0.5294 0.9930 0.4876
O: 0.4464 0.2900 0.8671
O: 0.0802 0.5864 0.1172
O: 0.1627 0.6599 0.3953
O: 0.0404 0.8725 0.1353
O: 0.9695 0.1142 0.8700
V: 0.2688 0.7413 0.0178
O: 0.8531 0.3393 0.6087
O: 0.5399 0.7381 0.1277
O: 0.7118 0.5372 0.3688
Li: 0.3949 0.5337 0.2469
O: 0.5722 0.0915 0.1133
Li: 0.2536 0.0727 0.0055
O: 0.7760 0.6259 0.6341
V: 0.7474 0.2456 0.0080
O: 0.4598 0.6245 0.8660
O: 0.8206 0.9678 0.6319
O: 0.0551 0.2279 0.1255
Li: 0.9851 0.1692 0.4919
V: 0.3558 0.2144 0.2545
Li: 0.5313 0.3401 0.4876
O: 0.2270 0.0449 0.3629
O: 0.9336 0.7982 0.8614
Li: 0.8837 0.3987 0.2288
O: 0.9218 0.3952 0.8752
O: 0.2821 0.1277 0.6358
O: 0.6544 0.1675 0.3882
O: 0.3033 0.4478 0.6319
O: 0.1974 0.3578 0.3641
Li: 0.7346 0.9221 0.0086
V: 0.1013 0.9644 0.7430
V: 0.6419 0.7772 0.7615
V: 0.0034 0.5127 0.4957
O: 0.3959 0.9090 0.8812
V: 0.6170 0.4600 0.7513
O: 0.5526 0.3692 0.1301
Li: 0.4773 0.6783 0.5014
Li: 0.2244 0.4279 0.0004
V: 0.1518 0.2844 0.7457
V: 0.8629 0.7078 0.2498
O: 0.6680 0.8565 0.3777
O: 0.3663 0.8428 0.6274
Li: 0.3297 0.8649 0.2688
Li: 0.8905 0.0414 0.2486

Summary:
Relative energy among the computed polymorphs   0.0 meV/atom
E (MP2020)   -7.649 eV/atom

=====

10.
Crystalline Li3V4O8 at its relaxed geometry. Source: the Materials Project database, functional PBE+U.

Unit cell a=6.1081 b=6.1081 c=6.1081 alpha=57.97 beta=57.97 gamma=57.97
Element x y z (fractional)
O: 0.7538 0.2258 0.7538
Li: 0.5000 0.5000 0.5000
V: 0.0000 0.0000 0.5000
O: 0.2336 0.2336 0.2336
O: 0.2462 0.7742 0.2462
V: 0.0000 0.5000 0.0000
Li: 0.6454 0.6454 0.6454
O: 0.7742 0.2462 0.2462
O: 0.7538 0.7538 0.2258
V: 0.0000 0.0000 0.0000
O: 0.7664 0.7664 0.7664
O: 0.2258 0.7538 0.7538
V: 0.5000 0.0000 0.0000
Li: 0.3546 0.3546 0.3546
O: 0.2462 0.2462 0.7742

Summary:
Relative energy among the computed polymorphs   37.5 meV/atom
E (MP2020)   -7.872 eV/atom

=====

Let's list energy relative to the elements in order: -2.46, -2.48, -2.47, -2.42, -2.46, -2.33, -2.46, -2.43, -2.45, -2.43 eV/atom.